Here is crystalline Li3Sm at its relaxed geometry from the Materials Project. Energies are from PBE-GGA.

## Properties
ΔE to the lowest computed polymorph = 0 kJ/mol of formula units

Geometry as CIF:
```
data_Li3Sm
_chemical_formula_sum 'Li6 Sm2'
_symmetry_space_group_name_H-M 'P 63/m m c'
_symmetry_Int_Tables_number 194
_symmetry_space_group_name_Hall '-P 6c 2c'
_cell_length_a 6.6748
_cell_length_b 6.6748
_cell_length_c 5.0781
_cell_angle_alpha 90.00
_cell_angle_beta 90.00
_cell_angle_gamma 120.00
loop_
_atom_site_label
_atom_site_type_symbol
_atom_site_fract_x
_atom_site_fract_y
_atom_site_fract_z
Li1 Li 0.1485 0.2969 0.2500
Sm1 Sm 0.3333 0.6667 0.7500
```

Here is crystalline Li2Sm5Sn7 at its relaxed geometry from the Materials Project. Energies are from PBE-GGA.

## Properties
electronic total energy = -4.63 eV per atom

Geometry as CIF:
```
data_Li2Sm5Sn7
_chemical_formula_sum 'Li8 Sm20 Sn28'
_symmetry_space_group_name_H-M 'P 21 21 21'
_symmetry_Int_Tables_number 19
_cell_length_a 6.2117
_cell_length_b 13.7284
_cell_length_c 17.3072
_cell_angle_alpha 90.00
_cell_angle_beta 90.00
_cell_angle_gamma 90.00
loop_
_symmetry_equiv_pos_as_xyz
'x,y,z'
'-x+1/2,-y,z+1/2'
'x+1/2,-y+1/2,-z'
'-x,y+1/2,-z+1/2'
loop_
_atom_site_label
_atom_site_type_symbol
_atom_site_fract_x
_atom_site_fract_y
_atom_site_fract_z
Li1 Li 0.0765 0.2308 0.0199
Li2 Li 0.1101 0.2311 0.7284
Sm1 Sm 0.1380 0.1762 0.2173
Sm2 Sm 0.1406 0.5026 0.4827
Sm3 Sm 0.1445 0.5016 0.7640
Sm4 Sm 0.1446 0.1804 0.5407
Sm5 Sm 0.1516 0.9247 0.3767
Sn1 Sn 0.0927 0.8794 0.8790
Sn2 Sn 0.1101 0.6264 0.1209
Sn3 Sn 0.1386 0.6505 0.6229
Sn4 Sn 0.1386 0.9368 0.5650
Sn5 Sn 0.1519 0.9439 0.1884
Sn6 Sn 0.1772 0.3134 0.3780
Sn7 Sn 0.2013 0.3095 0.8716
```

Here is crystalline LiSmTl2 at its relaxed geometry from the Materials Project. Energies are from PBE-GGA.

## Properties
electronic total energy = -3.17 eV per atom

Geometry as CIF:
```
data_LiSmTl2
_chemical_formula_sum 'Li4 Sm4 Tl8'
_symmetry_space_group_name_H-M 'F m -3 m'
_symmetry_Int_Tables_number 225
_symmetry_space_group_name_Hall '-F 4 2 3'
_cell_length_a 7.4430
_cell_length_b 7.4430
_cell_length_c 7.4430
_cell_angle_alpha 90.00
_cell_angle_beta 90.00
_cell_angle_gamma 90.00
loop_
_atom_site_label
_atom_site_type_symbol
_atom_site_fract_x
_atom_site_fract_y
_atom_site_fract_z
Li1 Li 0.0000 0.0000 0.0000
Sm1 Sm 0.0000 0.0000 0.5000
Tl1 Tl 0.2500 0.2500 0.2500
```

Here is crystalline Li3Sn at its relaxed geometry from the Materials Project. Energies are from PBE-GGA.

## Properties
electronic total energy = -2.82 eV per atom

Geometry as CIF:
```
data_Li3Sn
_chemical_formula_sum 'Li12 Sn4'
_symmetry_space_group_name_H-M 'F m -3 m'
_symmetry_Int_Tables_number 225
_symmetry_space_group_name_Hall '-F 4 2 3'
_cell_length_a 6.5753
_cell_length_b 6.5753
_cell_length_c 6.5753
_cell_angle_alpha 90.00
_cell_angle_beta 90.00
_cell_angle_gamma 90.00
loop_
_atom_site_label
_atom_site_type_symbol
_atom_site_fract_x
_atom_site_fract_y
_atom_site_fract_z
Li1 Li 0.0000 0.0000 0.0000
Li2 Li 0.2500 0.2500 0.2500
Sn1 Sn 0.0000 0.0000 0.5000
```

Here is crystalline Li7Sn2 at its relaxed geometry from the Materials Project. Energies are from PBE-GGA.

## Properties
electronic total energy = -2.75 eV per atom

Geometry as CIF:
```
data_Li7Sn2
_chemical_formula_sum 'Li28 Sn8'
_symmetry_space_group_name_H-M 'C m m m'
_symmetry_Int_Tables_number 65
_symmetry_space_group_name_Hall '-C 2 2'
_cell_length_a 9.7997
_cell_length_b 13.8336
_cell_length_c 4.7109
_cell_angle_alpha 90.00
_cell_angle_beta 90.00
_cell_angle_gamma 90.00
loop_
_atom_site_label
_atom_site_type_symbol
_atom_site_fract_x
_atom_site_fract_y
_atom_site_fract_z
Li1 Li 0.0000 0.0000 0.0000
Li2 Li 0.0000 0.1725 0.5000
Li3 Li 0.0000 0.5000 0.5000
Li4 Li 0.1531 0.5000 0.0000
Li5 Li 0.1581 0.3385 0.5000
Li6 Li 0.1866 0.1573 0.0000
Sn1 Sn 0.0000 0.3177 0.0000
Sn2 Sn 0.1647 0.0000 0.5000
```

Here is crystalline Li17Sn4 at its relaxed geometry from the Materials Project. Energies are from PBE-GGA.

## Properties
electronic total energy = -2.66 eV per atom

Geometry as CIF:
```
data_Li17Sn4
_chemical_formula_sum 'Li340 Sn80'
_symmetry_space_group_name_H-M 'F -4 3 m'
_symmetry_Int_Tables_number 216
_symmetry_space_group_name_Hall 'F -4 2 3'
_cell_length_a 19.6636
_cell_length_b 19.6636
_cell_length_c 19.6636
_cell_angle_alpha 90.00
_cell_angle_beta 90.00
_cell_angle_gamma 90.00
loop_
_atom_site_label
_atom_site_type_symbol
_atom_site_fract_x
_atom_site_fract_y
_atom_site_fract_z
Li1 Li 0.0000 0.0000 0.0000
Li2 Li 0.0000 0.0000 0.1712
Li3 Li 0.0073 0.1632 0.1632
Li4 Li 0.0187 0.1540 0.6540
Li5 Li 0.0559 0.0559 0.5559
Li6 Li 0.0745 0.0745 0.0745
Li7 Li 0.0762 0.2500 0.2500
Li8 Li 0.0828 0.0828 0.4172
Li9 Li 0.0903 0.0903 0.7619
Li10 Li 0.0928 0.0928 0.2656
Li11 Li 0.1727 0.1727 0.8273
Li12 Li 0.1820 0.1820 0.6820
Li13 Li 0.1968 0.1968 0.3032
Sn1 Sn 0.0000 0.0000 0.3208
Sn2 Sn 0.0702 0.2500 0.7500
Sn3 Sn 0.0837 0.0837 0.9163
Sn4 Sn 0.1601 0.1601 0.1601
```